An optimized crystal structure of Li4TiTe3O12, computed with GGA-PBE.

Output
Energy of formation from the pure elements = -2085.9 meV per atom
Calculated volume = 11.62 A^3/atom

Cell lengths 5.0656, 8.8176, 5.2126 Å; angles 90.00, 93.73, 90.00 degrees
Space group P2 (No. 3)
Unique sites:
Li 0.0000 0.0000 0.0000 (multiplicity 1)
Li 0.0000 0.3029 0.5000 (multiplicity 1)
Li 0.5000 0.4751 0.5000 (multiplicity 1)
Li 0.5000 0.8675 0.0000 (multiplicity 1)
Ti 0.5000 0.0662 0.5000 (multiplicity 1)
Te 0.0000 0.5673 0.0000 (multiplicity 1)
Te 0.0000 0.7696 0.5000 (multiplicity 1)
Te 0.5000 0.2502 0.0000 (multiplicity 1)
O 0.2025 0.7496 0.8326 (multiplicity 2)
O 0.2163 0.6101 0.3526 (multiplicity 2)
O 0.2344 0.9202 0.3633 (multiplicity 2)
O 0.2831 0.3980 0.8115 (multiplicity 2)
O 0.2910 0.2297 0.3000 (multiplicity 2)
O 0.3036 0.0827 0.8149 (multiplicity 2)